Crystalline CrOF4 at its relaxed geometry. Source: the Materials Project, functional GGA+U.

Values from the calculation:
E above lowest polymorph in meV/atom: 0
Uncorrected energy in eV per atom: -5.02
Calculated volume in Å³/atom: 15.91
Formation energy from the elements in meV per atom: -2065

Unit cell a=19.115 b=5.765 c=15.117 alpha=90.00 beta=113.54 gamma=90.00
Space group C2/c (No. 15)
One atom of each set of equivalent atoms:
Cr: 0.110 0.078 0.177 (multiplicity 8)
Cr: 0.136 0.418 0.893 (multiplicity 8)
O: 0.130 0.114 0.618 (multiplicity 8)
O: 0.172 0.396 0.473 (multiplicity 8)
F: 0.013 0.134 0.111 (multiplicity 8)
F: 0.046 0.361 0.895 (multiplicity 8)
F: 0.081 0.082 0.757 (multiplicity 8)
F: 0.085 0.416 0.287 (multiplicity 8)
F: 0.129 0.338 0.130 (multiplicity 8)
F: 0.166 0.152 0.953 (multiplicity 8)
F: 0.197 0.119 0.277 (multiplicity 8)
F: 0.205 0.381 0.846 (multiplicity 8)

Crystalline Cr4OF11 at its relaxed geometry. Source: the Materials Project, functional GGA+U.

Values from the calculation:
E above lowest polymorph in meV/atom: 5
Uncorrected energy in eV per atom: -6.05
Calculated volume in Å³/atom: 12.55
Formation energy from the elements in meV per atom: -2876

Unit cell a=5.102 b=5.336 c=8.781 alpha=105.30 beta=90.32 gamma=118.21
Space group P1 (No. 1)
One atom of each set of equivalent atoms:
Cr: 0.000 0.000 0.000 (multiplicity 1)
Cr: 0.248 0.478 0.762 (multiplicity 1)
Cr: 0.499 0.982 0.509 (multiplicity 1)
Cr: 0.751 0.486 0.256 (multiplicity 1)
O: 0.998 0.222 0.889 (multiplicity 1)
F: 0.065 0.734 0.828 (multiplicity 1)
F: 0.066 0.732 0.440 (multiplicity 1)
F: 0.430 0.232 0.072 (multiplicity 1)
F: 0.433 0.229 0.693 (multiplicity 1)
F: 0.492 0.730 0.634 (multiplicity 1)
F: 0.509 0.235 0.382 (multiplicity 1)
F: 0.565 0.734 0.323 (multiplicity 1)
F: 0.568 0.731 0.945 (multiplicity 1)
F: 0.932 0.230 0.577 (multiplicity 1)
F: 0.934 0.230 0.191 (multiplicity 1)
F: 0.991 0.739 0.130 (multiplicity 1)

Crystalline Cr4OF11 at its relaxed geometry. Source: the Materials Project, functional GGA+U.

Values from the calculation:
E above lowest polymorph in meV/atom: 0
Uncorrected energy in eV per atom: -6.06
Calculated volume in Å³/atom: 12.47
Formation energy from the elements in meV per atom: -2880

Unit cell a=5.064 b=5.333 c=16.907 alpha=88.97 beta=82.04 gamma=62.07
Space group P-1 (No. 2)
One atom of each set of equivalent atoms:
Cr: 0.000 0.000 0.000 (multiplicity 1)
Cr: 0.000 0.500 0.500 (multiplicity 1)
Cr: 0.251 0.378 0.126 (multiplicity 2)
Cr: 0.255 0.884 0.629 (multiplicity 2)
Cr: 0.492 0.239 0.747 (multiplicity 2)
O: 0.313 0.032 0.718 (multiplicity 2)
F: 0.184 0.719 0.535 (multiplicity 2)
F: 0.184 0.908 0.343 (multiplicity 2)
F: 0.186 0.409 0.841 (multiplicity 2)
F: 0.187 0.220 0.032 (multiplicity 2)
F: 0.245 0.689 0.063 (multiplicity 2)
F: 0.248 0.187 0.562 (multiplicity 2)
F: 0.256 0.563 0.687 (multiplicity 2)
F: 0.257 0.062 0.188 (multiplicity 2)
F: 0.314 0.841 0.907 (multiplicity 2)
F: 0.315 0.343 0.407 (multiplicity 2)
F: 0.318 0.538 0.219 (multiplicity 2)

Crystalline Cr4OF6 at its relaxed geometry. Source: the Materials Project, functional GGA+U.

Values from the calculation:
Uncorrected energy in eV per atom: -4.87
Calculated volume in Å³/atom: 12.61
Formation energy from the elements in meV per atom: -902

Unit cell a=7.221 b=7.221 c=5.320 alpha=90.00 beta=90.00 gamma=90.00
Space group P4_2/nmc (No. 137, origin choice 2)
One atom of each set of equivalent atoms:
Cr: 0.002 0.750 0.063 (multiplicity 8)
O: 0.250 0.750 0.250 (multiplicity 2)
F: 0.034 0.534 0.750 (multiplicity 8)
F: 0.250 0.250 0.098 (multiplicity 4)

> The highest uncorrected energy belongs to which entry?

Cr4OF6

> What is the formula in the second record?

Cr4OF11